# 1
A relaxed structure of Li3BiO4, computed with GGA-PBE.

POSCAR file:
```
Li3BiO4
1.0
-5.330 -2.766 6.526
6.256 -5.674 2.704
1.619 3.026 2.605
Li Bi O
12 4 16
Direct
0.870 0.130 0.500
0.630 0.630 0.000
0.395 0.888 0.000
0.612 0.895 0.500
0.130 0.870 0.500
0.105 0.388 0.500
0.888 0.395 0.000
0.605 0.112 0.000
0.895 0.612 0.500
0.370 0.370 0.000
0.112 0.605 0.000
0.388 0.105 0.500
0.366 0.634 0.500
0.634 0.366 0.500
0.866 0.866 0.000
0.134 0.134 0.000
0.887 0.113 0.000
0.387 0.387 0.500
0.621 0.133 0.500
0.867 0.379 0.500
0.876 0.876 0.500
0.124 0.124 0.500
0.133 0.621 0.500
0.613 0.613 0.500
0.633 0.879 0.000
0.121 0.367 0.000
0.376 0.624 0.000
0.624 0.376 0.000
0.879 0.633 0.000
0.379 0.867 0.500
0.113 0.887 0.000
0.367 0.121 0.000
```

Results
The energy of formation from the pure elements is -1.882 eV/atom.

# 2
A relaxed structure of Li5BiO4, computed with GGA-PBE.

POSCAR file:
```
Li5BiO4
1.0
-0.189 8.740 3.251
-5.006 2.802 -7.824
-8.528 -1.954 4.756
Li Bi O
40 8 32
Direct
0.115 0.582 0.141
0.115 0.918 0.641
0.120 0.135 0.849
0.120 0.365 0.349
0.125 0.855 0.405
0.125 0.645 0.905
0.136 0.844 0.146
0.136 0.656 0.646
0.170 0.111 0.414
0.170 0.389 0.914
0.330 0.889 0.914
0.330 0.611 0.414
0.364 0.156 0.646
0.364 0.344 0.146
0.375 0.145 0.905
0.375 0.355 0.405
0.380 0.635 0.849
0.380 0.865 0.349
0.385 0.082 0.141
0.385 0.418 0.641
0.615 0.582 0.359
0.615 0.918 0.859
0.620 0.135 0.651
0.620 0.365 0.151
0.625 0.645 0.595
0.625 0.855 0.095
0.636 0.656 0.854
0.636 0.844 0.354
0.670 0.111 0.086
0.670 0.389 0.586
0.830 0.611 0.086
0.830 0.889 0.586
0.864 0.344 0.354
0.864 0.156 0.854
0.875 0.145 0.595
0.875 0.355 0.095
0.880 0.635 0.651
0.880 0.865 0.151
0.885 0.082 0.359
0.885 0.418 0.859
0.077 0.148 0.142
0.077 0.352 0.642
0.423 0.648 0.142
0.423 0.852 0.642
0.577 0.148 0.358
0.577 0.352 0.858
0.923 0.648 0.358
0.923 0.852 0.858
0.000 0.225 0.450
0.000 0.275 0.950
0.022 0.960 0.267
0.022 0.540 0.767
0.224 0.033 0.012
0.224 0.467 0.512
0.259 0.224 0.267
0.259 0.276 0.767
0.241 0.724 0.267
0.241 0.776 0.767
0.276 0.533 0.012
0.276 0.967 0.512
0.478 0.460 0.267
0.478 0.040 0.767
0.500 0.725 0.450
0.500 0.775 0.950
0.500 0.225 0.050
0.500 0.275 0.550
0.522 0.960 0.233
0.522 0.540 0.733
0.724 0.033 0.488
0.724 0.467 0.988
0.759 0.224 0.233
0.759 0.276 0.733
0.741 0.724 0.233
0.741 0.776 0.733
0.776 0.533 0.488
0.776 0.967 0.988
0.978 0.040 0.733
0.978 0.460 0.233
0.000 0.725 0.050
0.000 0.775 0.550
```

Results
The calculation puts the energy above the most stable polymorph in this dataset at 0.006 eV/atom. The energy of formation from the pure elements is -1.944 eV/atom.

# 3
A relaxed structure of Li4Bi2O5, computed with GGA-PBE.

POSCAR file:
```
Li4Bi2O5
1.0
5.375 0.000 0.000
0.000 8.844 0.000
0.000 0.000 13.911
Li Bi O
16 8 20
Direct
0.440 0.861 0.035
0.060 0.639 0.035
0.250 0.750 0.252
0.500 0.037 0.250
0.000 0.463 0.250
0.750 0.750 0.248
0.940 0.639 0.465
0.560 0.861 0.465
0.440 0.139 0.535
0.060 0.361 0.535
0.250 0.250 0.752
0.000 0.537 0.750
0.500 0.963 0.750
0.750 0.250 0.748
0.940 0.361 0.965
0.560 0.139 0.965
0.531 0.447 0.118
0.969 0.053 0.118
0.031 0.053 0.382
0.469 0.447 0.382
0.531 0.553 0.618
0.969 0.947 0.618
0.031 0.947 0.882
0.469 0.553 0.882
0.059 0.859 0.038
0.441 0.641 0.038
0.927 0.473 0.118
0.573 0.027 0.118
0.000 0.891 0.250
0.500 0.609 0.250
0.073 0.473 0.382
0.427 0.027 0.382
0.559 0.641 0.462
0.941 0.859 0.462
0.059 0.141 0.538
0.441 0.359 0.538
0.573 0.973 0.618
0.927 0.527 0.618
0.000 0.109 0.750
0.500 0.391 0.750
0.073 0.527 0.882
0.427 0.973 0.882
0.559 0.359 0.962
0.941 0.141 0.962
```

Results
The calculation puts the energy above the most stable polymorph in this dataset at 0.056 eV/atom. The energy of formation from the pure elements is -1.830 eV/atom.

# 4
A relaxed structure of Li5Bi4O12, computed with GGA-PBE.

POSCAR file:
```
Li5Bi4O12
1.0
5.516 0.000 0.000
1.857 10.072 0.000
2.274 2.532 10.217
Li Bi O
10 8 24
Direct
0.238 0.104 0.267
0.211 0.106 0.682
0.203 0.249 0.947
0.159 0.610 0.814
0.434 0.402 0.625
0.566 0.598 0.375
0.841 0.390 0.186
0.797 0.751 0.053
0.789 0.894 0.318
0.762 0.896 0.733
0.139 0.391 0.408
0.331 0.575 0.111
0.270 0.910 0.022
0.278 0.892 0.525
0.722 0.108 0.475
0.730 0.090 0.978
0.669 0.425 0.889
0.861 0.609 0.592
0.999 0.254 0.332
0.290 0.439 0.996
0.357 0.079 0.086
0.110 0.073 0.875
0.014 0.456 0.762
0.020 0.965 0.384
0.360 0.259 0.544
0.223 0.555 0.481
0.504 0.035 0.367
0.168 0.741 0.966
0.484 0.433 0.269
0.433 0.746 0.164
0.567 0.254 0.836
0.516 0.567 0.731
0.832 0.259 0.034
0.496 0.965 0.633
0.777 0.445 0.519
0.640 0.741 0.456
0.980 0.035 0.616
0.986 0.544 0.238
0.890 0.927 0.125
0.643 0.921 0.914
0.710 0.561 0.004
0.001 0.746 0.668
```

Results
The energy of formation from the pure elements is -1.687 eV/atom.

# 5
A relaxed structure of LiBi3O6, computed with GGA-PBE.

POSCAR file:
```
LiBi3O6
1.0
5.344 -5.224 5.622
-1.296 8.416 3.866
-8.276 -4.184 -1.206
Li Bi O
4 12 24
Direct
0.969 0.500 0.000
0.500 0.000 0.969
0.531 0.531 0.531
0.000 0.969 0.500
0.963 0.250 0.213
0.787 0.037 0.750
0.713 0.463 0.250
0.750 0.287 0.537
0.750 0.787 0.037
0.463 0.250 0.713
0.537 0.750 0.287
0.250 0.713 0.463
0.250 0.213 0.963
0.213 0.963 0.250
0.287 0.537 0.750
0.037 0.750 0.787
0.026 0.057 0.260
0.733 0.031 0.474
0.767 0.240 0.298
0.005 0.967 0.724
0.495 0.219 0.962
0.757 0.533 0.538
0.743 0.281 0.776
0.443 0.469 0.202
0.469 0.202 0.443
0.776 0.743 0.281
0.724 0.005 0.967
0.219 0.962 0.495
0.474 0.733 0.031
0.202 0.443 0.469
0.298 0.767 0.240
0.533 0.538 0.757
0.538 0.757 0.533
0.962 0.495 0.219
0.240 0.298 0.767
0.260 0.026 0.057
0.057 0.260 0.026
0.031 0.474 0.733
0.281 0.776 0.743
0.967 0.724 0.005
```

Results
The energy of formation from the pure elements is -1.576 eV/atom.

# 6
A relaxed structure of LiBi3O6, computed with GGA-PBE.

POSCAR file:
```
LiBi3O6
1.0
-5.736 -1.319 3.259
1.124 -6.482 -1.409
3.678 -0.203 5.630
Li Bi O
2 6 12
Direct
0.000 0.000 0.000
0.500 0.500 0.500
0.566 0.084 0.258
0.084 0.258 0.566
0.742 0.434 0.916
0.258 0.566 0.084
0.916 0.742 0.434
0.434 0.916 0.742
0.680 0.089 0.922
0.911 0.078 0.320
0.405 0.189 0.530
0.078 0.320 0.911
0.530 0.405 0.189
0.811 0.470 0.595
0.189 0.530 0.405
0.470 0.595 0.811
0.922 0.680 0.089
0.595 0.811 0.470
0.089 0.922 0.680
0.320 0.911 0.078
```

Results
The energy of formation from the pure elements is -1.574 eV/atom.

# 7
A relaxed structure of Li3Bi5P6O24, computed with GGA-PBE.

POSCAR file:
```
Li3Bi5P6O24
1.0
-2.814 7.864 -2.602
-2.290 -6.060 -6.023
-3.762 -2.117 7.730
Li Bi P O
3 5 6 24
Direct
0.505 0.974 0.775
0.997 0.280 0.492
0.701 0.731 0.718
0.834 0.491 0.989
0.514 0.012 0.353
0.343 0.501 0.987
0.144 0.161 0.163
0.002 0.840 0.513
0.748 0.876 0.120
0.253 0.623 0.374
0.121 0.753 0.881
0.625 0.379 0.253
0.369 0.244 0.627
0.874 0.128 0.747
0.923 0.067 0.265
0.921 0.689 0.848
0.337 0.187 0.425
0.841 0.161 0.580
0.742 0.159 0.816
0.258 0.918 0.082
0.087 0.666 0.343
0.303 0.646 0.224
0.588 0.848 0.172
0.165 0.418 0.330
0.160 0.823 0.751
0.800 0.728 0.146
0.423 0.750 0.562
0.571 0.408 0.756
0.655 0.352 0.086
0.159 0.589 0.851
0.419 0.342 0.185
0.235 0.312 0.659
0.755 0.575 0.418
0.855 0.936 0.695
0.657 0.242 0.316
0.079 0.270 0.915
0.676 0.849 0.928
0.340 0.074 0.652
```

Results
The energy of formation from the pure elements is -2.444 eV/atom.

# 8
A relaxed structure of LiBiP4O12, computed with GGA-PBE.

POSCAR file:
```
LiBiP4O12
1.0
-6.979 -5.193 3.108
2.717 0.196 6.429
-3.758 6.246 1.997
Li Bi P O
2 2 8 24
Direct
0.978 0.782 0.785
0.478 0.218 0.215
0.636 0.756 0.268
0.136 0.244 0.732
0.639 0.007 0.579
0.438 0.902 0.879
0.270 0.605 0.407
0.609 0.549 0.911
0.109 0.451 0.089
0.770 0.395 0.593
0.938 0.098 0.121
0.139 0.993 0.421
0.060 0.976 0.235
0.470 0.932 0.072
0.039 0.950 0.578
0.292 0.961 0.808
0.260 0.835 0.401
0.715 0.817 0.569
0.472 0.683 0.837
0.727 0.682 0.970
0.222 0.531 0.589
0.149 0.557 0.263
0.055 0.596 0.950
0.421 0.565 0.345
0.921 0.435 0.655
0.555 0.404 0.050
0.649 0.443 0.737
0.722 0.469 0.411
0.227 0.318 0.030
0.972 0.317 0.163
0.215 0.183 0.431
0.760 0.165 0.599
0.792 0.039 0.192
0.539 0.050 0.422
0.970 0.068 0.928
0.560 0.024 0.765
```

Results
The calculation puts the energy above the most stable polymorph in this dataset at 0.063 eV/atom. The energy of formation from the pure elements is -2.503 eV/atom.